Below is a relaxed structure of CeP5O14, with properties calculated at the GGA-PBE level.

Summary:
energy of formation: -2803 meV/atom
relative energy among the computed polymorphs: 9 meV/atom
calculated volume: 13.7 A^3/atom

a = 8.9466 Å, b = 9.2232 Å, c = 13.2749 Å
α = 90.00°, β = 90.00°, γ = 90.00°
Element x y z (fractional)
O: 0.7135 0.8127 0.5935
P: 0.2643 0.4502 0.1632
O: 0.7253 0.0921 0.6126
O: 0.2865 0.1873 0.5935
P: 0.5000 0.0000 0.1761
O: 0.2110 0.4123 0.5000
O: 0.9141 0.3855 0.6525
O: 0.7890 0.9123 0.0000
O: 0.9141 0.1145 0.8475
P: 0.2643 0.4502 0.8368
O: 0.7135 0.6873 0.9065
P: 0.2643 0.0498 0.6632
O: 0.1096 0.4150 0.2156
O: 0.2747 0.9079 0.6126
P: 0.8130 0.7528 0.0000
Ce: 0.2231 0.6889 0.5000
O: 0.9653 0.6867 0.0000
O: 0.2110 0.0877 0.0000
O: 0.7253 0.4079 0.1126
O: 0.8904 0.5850 0.7844
Ce: 0.7769 0.3111 0.5000
O: 0.5805 0.1174 0.8783
O: 0.5805 0.3826 0.3783
O: 0.7890 0.5877 0.5000
P: 0.2643 0.0498 0.3368
O: 0.9141 0.1145 0.1525
Ce: 0.7769 0.1889 0.0000
P: 0.1870 0.2472 0.0000
O: 0.4195 0.8826 0.1217
P: 0.8130 0.7472 0.5000
O: 0.3875 0.4179 0.2450
O: 0.9141 0.3855 0.3475
O: 0.0347 0.1867 0.5000
O: 0.3875 0.0821 0.2550
O: 0.2865 0.3127 0.0935
O: 0.6125 0.9179 0.2550
O: 0.0859 0.6145 0.3475
P: 0.7357 0.9502 0.6632
O: 0.4195 0.6174 0.3783
O: 0.2865 0.3127 0.9065
O: 0.6125 0.5821 0.7550
O: 0.3875 0.0821 0.7450
O: 0.7135 0.6873 0.0935
O: 0.5805 0.1174 0.1217
O: 0.7135 0.8127 0.4065
O: 0.2747 0.9079 0.3874
O: 0.6125 0.9179 0.7450
P: 0.0000 0.5000 0.7061
P: 0.7357 0.5498 0.8368
P: 0.7357 0.5498 0.1632
O: 0.6125 0.5821 0.2450
P: 0.5000 0.5000 0.6761
O: 0.8904 0.5850 0.2156
P: 0.5000 0.5000 0.3239
P: 0.0000 0.5000 0.2939
P: 0.0000 0.0000 0.2061
O: 0.0347 0.3133 0.0000
Ce: 0.2231 0.8111 0.0000
O: 0.9653 0.8133 0.5000
O: 0.7253 0.0921 0.3874
O: 0.2865 0.1873 0.4065
O: 0.8904 0.9150 0.2844
O: 0.2747 0.5921 0.8874
O: 0.0859 0.8855 0.8475
O: 0.0859 0.6145 0.6525
O: 0.4195 0.8826 0.8783
O: 0.7253 0.4079 0.8874
O: 0.5805 0.3826 0.6217
P: 0.0000 0.0000 0.7939
O: 0.8904 0.9150 0.7156
O: 0.1096 0.4150 0.7844
P: 0.1870 0.2528 0.5000
O: 0.1096 0.0850 0.2844
O: 0.4195 0.6174 0.6217
O: 0.2747 0.5921 0.1126
P: 0.7357 0.9502 0.3368
O: 0.1096 0.0850 0.7156
O: 0.3875 0.4179 0.7550
O: 0.0859 0.8855 0.1525
P: 0.5000 0.0000 0.8239

---

Below is a relaxed structure of AgSb3PbS6, with properties calculated at the GGA-PBE level.

Summary:
energy of formation: -445 meV/atom
relative energy among the computed polymorphs: 103 meV/atom
calculated volume: 29.8 A^3/atom

a = 5.8643 Å, b = 7.5863 Å, c = 15.3380 Å
α = 74.11°, β = 90.00°, γ = 90.00°
Element x y z (fractional)
Sb: 0.7122 0.6504 0.7494
S: 0.4668 0.8602 0.1118
Ag: 0.1790 0.2602 0.2102
S: 0.1764 0.9296 0.2957
S: 0.5332 0.8602 0.6118
Sb: 0.3147 0.6684 0.5327
Sb: 0.2659 0.3420 0.9694
Sb: 0.6853 0.6684 0.0327
S: 0.4708 0.2184 0.3826
Pb: 0.6752 0.0151 0.2755
Pb: 0.3248 0.0151 0.7755
S: 0.3284 0.6796 0.9255
S: 0.0680 0.5311 0.7000
S: 0.6716 0.6796 0.4255
S: 0.5436 0.3450 0.0972
S: 0.9320 0.5311 0.2000
Sb: 0.2878 0.6504 0.2494
Sb: 0.7341 0.3420 0.4694
S: 0.4564 0.3450 0.5972
S: 0.5292 0.2184 0.8826
Ag: 0.8210 0.2602 0.7102
S: 0.8236 0.9296 0.7957

---

Below is a relaxed structure of MgTa, with properties calculated at the GGA-PBE level.

Summary:
energy of formation: 329 meV/atom
calculated volume: 19.3 A^3/atom

a = 2.8625 Å, b = 4.8738 Å, c = 5.5353 Å
α = 90.00°, β = 90.00°, γ = 90.00°
Element x y z (fractional)
Mg: 0.0000 0.7500 0.1425
Ta: 0.5000 0.7500 0.6206
Mg: 0.0000 0.2500 0.8575
Ta: 0.5000 0.2500 0.3794

---

Below is a relaxed structure of ZrTi3P8O36, with properties calculated at the GGA-PBE level.

Summary:
energy of formation: -2009 meV/atom
calculated volume: 14.7 A^3/atom

a = 5.2812 Å, b = 8.6288 Å, c = 16.0414 Å
α = 104.40°, β = 90.46°, γ = 90.49°
Element x y z (fractional)
P: 0.2580 0.8968 0.8838
O: 0.2563 0.0422 0.9632
O: 0.9833 0.7263 0.6017
O: 0.8775 0.5963 0.2748
O: 0.2698 0.9452 0.7989
O: 0.2413 0.4265 0.3051
P: 0.2521 0.3796 0.3905
O: 0.0242 0.2715 0.4019
O: 0.4705 0.2032 0.5439
O: 0.7227 0.9986 0.4037
P: 0.2514 0.1454 0.5924
P: 0.6973 0.3608 0.9218
O: 0.9964 0.1573 0.5451
O: 0.0056 0.5169 0.7284
O: 0.8903 0.2897 0.9713
P: 0.7857 0.8348 0.4153
Ti: 0.2772 0.7446 0.5302
P: 0.7677 0.6111 0.6058
O: 0.5824 0.7551 0.4561
O: 0.2438 0.2392 0.6858
P: 0.2853 0.6726 0.0844
O: 0.7246 0.2438 0.8126
O: 0.0094 0.7984 0.8842
P: 0.7235 0.0884 0.1136
O: 0.0531 0.8039 0.4392
O: 0.7782 0.5160 0.9022
O: 0.3727 0.9548 0.1825
O: 0.5908 0.1166 0.7795
O: 0.2431 0.5299 0.4685
O: 0.2310 0.5119 0.1061
Ti: 0.7629 0.7509 0.9603
O: 0.0650 0.7322 0.0410
O: 0.6702 0.9964 0.1884
O: 0.7966 0.5821 0.7113
O: 0.2993 0.9638 0.5841
O: 0.7305 0.9659 0.0263
O: 0.4831 0.7855 0.8940
O: 0.5158 0.2121 0.1149
O: 0.9802 0.1744 0.1321
O: 0.5425 0.6773 0.0432
O: 0.4282 0.3403 0.9471
O: 0.3289 0.7960 0.1850
Zr: 0.2127 0.2624 0.0465
O: 0.5032 0.2916 0.3969
O: 0.7614 0.7306 0.3029
Ti: 0.7553 0.2260 0.4716
O: 0.5086 0.6868 0.6154
O: 0.7901 0.4482 0.5466